No. 1
A plane-wave DFT calculation with r2SCAN was carried out for an optimized crystal structure of BaWO4.

a = 5.6667 Å, b = 5.6667 Å, c = 12.7385 Å
α = 90.00°, β = 90.00°, γ = 90.00°
Space group I4_1/a (No. 88, origin choice 2)
Asymmetric unit:
Ba 0.0000 0.2500 0.1250 [4 per cell]
W 0.0000 0.2500 0.6250 [4 per cell]
O 0.1255 0.4807 0.7036 [16 per cell]

Summary:
Total moment   0.00 Bohr magnetons per cell
Calculated total energy   -474.7 eV for the cell shown

No. 2
A plane-wave DFT calculation with r2SCAN was carried out for an optimized crystal structure of Ba3WO6.

a = 6.0910 Å, b = 6.5732 Å, c = 8.8447 Å
α = 93.60°, β = 90.13°, γ = 90.26°
Space group P1 (No. 1)
Asymmetric unit:
Ba 0.0000 0.0000 0.0000 [1 per cell]
Ba 0.0004 0.4808 0.7434 [1 per cell]
Ba 0.0028 0.9546 0.5362 [1 per cell]
Ba 0.5052 0.5949 0.4663 [1 per cell]
Ba 0.5078 0.0694 0.2595 [1 per cell]
Ba 0.5080 0.5512 0.0029 [1 per cell]
W 0.0078 0.5530 0.2372 [1 per cell]
W 0.5005 0.9971 0.7655 [1 per cell]
O 0.0579 0.5972 0.0274 [1 per cell]
O 0.1971 0.7958 0.2913 [1 per cell]
O 0.2380 0.1560 0.7594 [1 per cell]
O 0.2692 0.3930 0.2429 [1 per cell]
O 0.3127 0.7533 0.7120 [1 per cell]
O 0.4502 0.9538 0.9755 [1 per cell]
O 0.5543 0.0083 0.5483 [1 per cell]
O 0.6848 0.2246 0.8142 [1 per cell]
O 0.7518 0.8096 0.7709 [1 per cell]
O 0.7576 0.7421 0.2326 [1 per cell]
O 0.8219 0.3268 0.1884 [1 per cell]
O 0.9540 0.5413 0.4546 [1 per cell]

Summary:
Total moment   0.00 Bohr magnetons per cell
Calculated total energy   -390.3 eV for the cell shown